Entry from the Materials Project: crystalline NaLa3NbP3S3O24 at its relaxed geometry (PBE).

Cell: 9.298 9.324 24.478 Å, 89.80 89.65 60.13°
Space group P1 (No. 1)
Unique sites:
Na (0.000, 0.000, 0.000) (multiplicity 1)
Na (0.025, 0.976, 0.497) (multiplicity 1)
Na (0.687, 0.631, 0.162) (multiplicity 1)
La (0.019, 0.990, 0.838) (multiplicity 1)
La (0.021, 0.996, 0.143) (multiplicity 1)
La (0.029, 0.984, 0.657) (multiplicity 1)
La (0.348, 0.336, 0.473) (multiplicity 1)
La (0.356, 0.328, 0.193) (multiplicity 1)
La (0.375, 0.311, 0.969) (multiplicity 1)
La (0.691, 0.650, 0.018) (multiplicity 1)
La (0.692, 0.657, 0.524) (multiplicity 1)
La (0.697, 0.646, 0.315) (multiplicity 1)
Nb (0.032, 0.981, 0.346) (multiplicity 1)
Nb (0.360, 0.330, 0.687) (multiplicity 1)
Nb (0.690, 0.665, 0.808) (multiplicity 1)
P (0.025, 0.271, 0.251) (multiplicity 1)
P (0.025, 0.671, 0.748) (multiplicity 1)
P (0.312, 0.705, 0.249) (multiplicity 1)
P (0.341, 0.994, 0.747) (multiplicity 1)
P (0.354, 0.606, 0.585) (multiplicity 1)
P (0.650, 0.321, 0.081) (multiplicity 1)
P (0.699, 0.932, 0.909) (multiplicity 1)
P (0.709, 0.310, 0.748) (multiplicity 1)
P (0.978, 0.683, 0.413) (multiplicity 1)
S (0.065, 0.613, 0.080) (multiplicity 1)
S (0.078, 0.317, 0.586) (multiplicity 1)
S (0.360, 0.027, 0.081) (multiplicity 1)
S (0.372, 0.949, 0.413) (multiplicity 1)
S (0.404, 0.664, 0.907) (multiplicity 1)
S (0.639, 0.046, 0.586) (multiplicity 1)
S (0.718, 0.332, 0.414) (multiplicity 1)
S (0.741, 0.988, 0.253) (multiplicity 1)
S (0.972, 0.369, 0.908) (multiplicity 1)
O (0.002, 0.195, 0.199) (multiplicity 1)
O (0.025, 0.159, 0.302) (multiplicity 1)
O (0.049, 0.780, 0.078) (multiplicity 1)
O (0.053, 0.172, 0.591) (multiplicity 1)
O (0.078, 0.735, 0.796) (multiplicity 1)
O (0.132, 0.366, 0.909) (multiplicity 1)
O (0.150, 0.525, 0.131) (multiplicity 1)
O (0.154, 0.522, 0.030) (multiplicity 1)
O (0.155, 0.540, 0.421) (multiplicity 1)
O (0.172, 0.295, 0.535) (multiplicity 1)
O (0.172, 0.493, 0.730) (multiplicity 1)
O (0.174, 0.323, 0.634) (multiplicity 1)
O (0.190, 0.268, 0.252) (multiplicity 1)
O (0.198, 0.813, 0.302) (multiplicity 1)
O (0.201, 0.966, 0.404) (multiplicity 1)
O (0.202, 0.779, 0.593) (multiplicity 1)
O (0.212, 0.005, 0.078) (multiplicity 1)
O (0.225, 0.043, 0.796) (multiplicity 1)
O (0.227, 0.804, 0.198) (multiplicity 1)
O (0.238, 0.811, 0.902) (multiplicity 1)
O (0.276, 0.939, 0.699) (multiplicity 1)
O (0.313, 0.542, 0.253) (multiplicity 1)
O (0.334, 0.525, 0.534) (multiplicity 1)
O (0.344, 0.117, 0.420) (multiplicity 1)
O (0.357, 0.116, 0.131) (multiplicity 1)
O (0.357, 0.118, 0.031) (multiplicity 1)
O (0.360, 0.494, 0.636) (multiplicity 1)
O (0.371, 0.140, 0.729) (multiplicity 1)
O (0.396, 0.510, 0.907) (multiplicity 1)
O (0.442, 0.845, 0.462) (multiplicity 1)
O (0.473, 0.873, 0.364) (multiplicity 1)
O (0.477, 0.679, 0.959) (multiplicity 1)
O (0.482, 0.689, 0.255) (multiplicity 1)
O (0.511, 0.658, 0.860) (multiplicity 1)
O (0.512, 0.860, 0.083) (multiplicity 1)
O (0.517, 0.611, 0.582) (multiplicity 1)
O (0.518, 0.843, 0.765) (multiplicity 1)
O (0.531, 0.336, 0.730) (multiplicity 1)
O (0.535, 0.096, 0.908) (multiplicity 1)
O (0.537, 0.141, 0.635) (multiplicity 1)
O (0.554, 0.325, 0.029) (multiplicity 1)
O (0.557, 0.317, 0.134) (multiplicity 1)
O (0.562, 0.138, 0.535) (multiplicity 1)
O (0.579, 0.301, 0.421) (multiplicity 1)
O (0.585, 0.144, 0.255) (multiplicity 1)
O (0.646, 0.883, 0.584) (multiplicity 1)
O (0.669, 0.478, 0.084) (multiplicity 1)
O (0.678, 0.485, 0.766) (multiplicity 1)
O (0.688, 0.435, 0.365) (multiplicity 1)
O (0.696, 0.822, 0.859) (multiplicity 1)
O (0.716, 0.834, 0.962) (multiplicity 1)
O (0.717, 0.844, 0.258) (multiplicity 1)
O (0.745, 0.409, 0.463) (multiplicity 1)
O (0.770, 0.191, 0.796) (multiplicity 1)
O (0.807, 0.024, 0.591) (multiplicity 1)
O (0.825, 0.164, 0.077) (multiplicity 1)
O (0.825, 0.242, 0.699) (multiplicity 1)
O (0.833, 0.968, 0.202) (multiplicity 1)
O (0.845, 0.989, 0.301) (multiplicity 1)
O (0.851, 0.954, 0.902) (multiplicity 1)
O (0.870, 0.719, 0.465) (multiplicity 1)
O (0.871, 0.473, 0.861) (multiplicity 1)
O (0.872, 0.166, 0.405) (multiplicity 1)
O (0.874, 0.444, 0.257) (multiplicity 1)
O (0.878, 0.640, 0.765) (multiplicity 1)
O (0.880, 0.438, 0.960) (multiplicity 1)
O (0.894, 0.635, 0.082) (multiplicity 1)
O (0.899, 0.654, 0.364) (multiplicity 1)
O (0.917, 0.473, 0.583) (multiplicity 1)
O (0.973, 0.787, 0.699) (multiplicity 1)
O (0.996, 0.200, 0.903) (multiplicity 1)
O (0.998, 0.841, 0.400) (multiplicity 1)

Summary:
Formation enthalpy at 0 K in meV/atom: -2809
Crystal system: triclinic